Record 1
Computed, not measured: a relaxed structure of Li2Zr4As3P3O24 at the PBE level of DFT.

a = 9.1259 Å, b = 9.1259 Å, c = 22.6385 Å
α = 90.00°, β = 90.00°, γ = 120.00°
Space group R32 (No. 155, hexagonal axes)
Symmetry-distinct sites (fractional):
Li  0.0000  0.0000  0.2375 [6 per cell]
Zr  0.0000  0.0000  0.1029 [6 per cell]
Zr  0.0000  0.0000  0.3870 [6 per cell]
As  0.0000  0.2927  0.5000 [9 per cell]
P  0.0000  0.7065  0.0000 [9 per cell]
O  0.0026  0.1893  0.4378 [18 per cell]
O  0.0048  0.8086  0.0554 [18 per cell]
O  0.0166  0.1762  0.1687 [18 per cell]
O  0.0225  0.8266  0.6704 [18 per cell]

- relative energy among the computed polymorphs (eV per atom) = 0.0115
- crystal system = trigonal


Record 2
Computed, not measured: a relaxed structure of Ca7Ge6 at the PBE level of DFT.

a = 7.441 Å, b = 22.458 Å, c = 8.110 Å
α = 90.00°, β = 90.00°, γ = 90.00°
Space group Pnma (No. 62)
Symmetry-distinct sites (fractional):
Ca  0.016  0.163  0.179 [8 per cell]
Ca  0.148  0.644  0.318 [8 per cell]
Ca  0.166  0.519  0.678 [8 per cell]
Ca  0.185  0.250  0.517 [4 per cell]
Ge  0.003  0.555  0.042 [8 per cell]
Ge  0.075  0.250  0.876 [4 per cell]
Ge  0.183  0.098  0.473 [8 per cell]
Ge  0.191  0.750  0.605 [4 per cell]

- crystal system = orthorhombic


Record 3
Computed, not measured: a relaxed structure of MgCu2S4 at the PBE level of DFT.

a = 5.443 Å, b = 3.691 Å, c = 6.886 Å
α = 90.00°, β = 111.11°, γ = 90.00°
Space group Pm (No. 6)
Symmetry-distinct sites (fractional):
Mg  0.000  0.000  0.000 [1 per cell]
Cu  0.299  0.500  0.794 [1 per cell]
Cu  0.651  0.000  0.354 [1 per cell]
S  0.016  0.000  0.653 [1 per cell]
S  0.066  0.500  0.247 [1 per cell]
S  0.457  0.500  0.447 [1 per cell]
S  0.525  0.000  0.994 [1 per cell]

- relative energy among the computed polymorphs (eV per atom) = 0.0000
- crystal system = monoclinic


Record 4
Computed, not measured: a relaxed structure of Mn3Si2Se6 at the PBE level of DFT.

a = 6.5158 Å, b = 6.5158 Å, c = 13.7403 Å
α = 90.00°, β = 90.00°, γ = 120.00°
Space group P-31c (No. 163)
Symmetry-distinct sites (fractional):
Mn  0.3333  0.6667  0.0005 [4 per cell]
Mn  0.3333  0.6667  0.2500 [2 per cell]
Si  0.0000  0.0000  0.0845 [4 per cell]
Se  0.0007  0.3431  0.8733 [12 per cell]

- crystal system = trigonal


Record 5
Computed, not measured: a relaxed structure of BeH6N2F2 at the PBE level of DFT.

a = 5.013 Å, b = 7.148 Å, c = 10.412 Å
α = 90.00°, β = 92.77°, γ = 90.00°
Space group P2_1/c (No. 14)
Symmetry-distinct sites (fractional):
Be  0.136  0.137  0.185 [4 per cell]
H  0.192  0.049  0.647 [4 per cell]
H  0.208  0.680  0.669 [4 per cell]
H  0.239  0.586  0.526 [4 per cell]
H  0.241  0.163  0.512 [4 per cell]
H  0.477  0.160  0.628 [4 per cell]
H  0.484  0.565  0.638 [4 per cell]
N  0.275  0.168  0.611 [4 per cell]
N  0.281  0.565  0.623 [4 per cell]
F  0.169  0.633  0.352 [4 per cell]
F  0.193  0.146  0.331 [4 per cell]

- crystal system = monoclinic


Record 6
Computed, not measured: a relaxed structure of TlSbTe2 at the PBE level of DFT.

a = 4.5024 Å, b = 4.5024 Å, c = 23.6962 Å
α = 90.00°, β = 90.00°, γ = 120.00°
Space group R-3m (No. 166, hexagonal axes)
Symmetry-distinct sites (fractional):
Tl  0.0000  0.0000  0.0000 [3 per cell]
Sb  0.0000  0.0000  0.5000 [3 per cell]
Te  0.0000  0.0000  0.2393 [6 per cell]

- relative energy among the computed polymorphs (eV per atom) = 0.0000
- crystal system = trigonal


Record 7
Computed, not measured: a relaxed structure of Hf2Sb3Te at the PBE level of DFT.

a = 10.663 Å, b = 3.692 Å, c = 8.751 Å
α = 90.00°, β = 119.06°, γ = 90.00°
Space group Cm (No. 8)
Symmetry-distinct sites (fractional):
Hf  0.000  0.000  0.000 [2 per cell]
Hf  0.190  0.500  0.624 [2 per cell]
Sb  0.199  0.500  0.282 [2 per cell]
Sb  0.438  0.000  0.695 [2 per cell]
Sb  0.491  0.500  0.340 [2 per cell]
Te  0.253  0.000  0.924 [2 per cell]

- crystal system = monoclinic


Record 8
Computed, not measured: a relaxed structure of Li2GePd at the PBE level of DFT.

a = 6.082 Å, b = 6.082 Å, c = 6.082 Å
α = 90.00°, β = 90.00°, γ = 90.00°
Space group F-43m (No. 216)
Symmetry-distinct sites (fractional):
Li  0.000  0.000  0.000 [4 per cell]
Li  0.250  0.250  0.250 [4 per cell]
Ge  0.250  0.250  0.750 [4 per cell]
Pd  0.000  0.000  0.500 [4 per cell]

- crystal system = cubic


Record 9
Computed, not measured: a relaxed structure of CoAsS at the PBE level of DFT.

a = 3.495 Å, b = 4.596 Å, c = 5.573 Å
α = 90.00°, β = 90.00°, γ = 90.00°
Space group Pmn2_1 (No. 31)
Symmetry-distinct sites (fractional):
Co  0.000  0.236  0.000 [2 per cell]
As  0.000  0.461  0.375 [2 per cell]
S  0.000  0.048  0.628 [2 per cell]

- relative energy among the computed polymorphs (eV per atom) = 0.0000
- crystal system = orthorhombic


Record 10
Computed, not measured: a relaxed structure of Li3Nb at the PBE level of DFT.

a = 3.894 Å, b = 3.894 Å, c = 9.294 Å
α = 90.00°, β = 90.00°, γ = 90.00°
Space group I4/mmm (No. 139)
Symmetry-distinct sites (fractional):
Li  0.000  0.000  0.000 [2 per cell]
Li  0.000  0.500  0.250 [4 per cell]
Nb  0.000  0.000  0.500 [2 per cell]

- relative energy among the computed polymorphs (eV per atom) = 0.0218
- crystal system = tetragonal


Record 11
Computed, not measured: a relaxed structure of SrMg6TiO8 at the PBE level of DFT.

a = 4.487 Å, b = 4.487 Å, c = 8.813 Å
α = 90.00°, β = 90.00°, γ = 90.00°
Space group P4/mmm (No. 123)
Symmetry-distinct sites (fractional):
Sr  0.000  0.000  0.000 [1 per cell]
Mg  0.000  0.000  0.500 [1 per cell]
Mg  0.000  0.500  0.263 [4 per cell]
Mg  0.500  0.500  0.500 [1 per cell]
Ti  0.500  0.500  0.000 [1 per cell]
O  0.000  0.000  0.273 [2 per cell]
O  0.000  0.500  0.000 [2 per cell]
O  0.000  0.500  0.500 [2 per cell]
O  0.500  0.500  0.257 [2 per cell]

- relative energy among the computed polymorphs (eV per atom) = 0.0000
- crystal system = tetragonal


Record 12
Computed, not measured: a relaxed structure of BaNiCl3 at the PBE level of DFT.

a = 6.9427 Å, b = 6.9427 Å, c = 5.4905 Å
α = 90.00°, β = 90.00°, γ = 120.00°
Space group P6_3mc (No. 186)
Symmetry-distinct sites (fractional):
Ba  0.3333  0.6667  0.0000 [2 per cell]
Ni  0.0000  0.0000  0.2405 [2 per cell]
Cl  0.1721  0.3442  0.4904 [6 per cell]

- crystal system = hexagonal


So what do the calculations give for energy of formation? Going down the list: -2.819, -0.636, -0.643, -0.636, -1.264, -0.442, -0.577, -0.554, -0.617, 0.704, -2.784, -1.802 eV per atom.
So what do the calculations give for ρ? Going down the list: 3.30, 3.51, 3.60, 4.57, 1.44, 6.96, 9.37, 5.70, 6.16, 2.68, 3.83, 4.38 g/cm3.